# Rb4PbBr6

Crystalline Rb4PbBr6 at its relaxed geometry (PBE, the Materials Project database).

Unit cell a=9.657 b=9.657 c=9.657 alpha=89.73 beta=89.73 gamma=89.73
Atoms (fractional coordinates):
Rb 0.129 0.750 0.371
Rb 0.250 0.250 0.250
Rb 0.250 0.629 0.871
Rb 0.371 0.129 0.750
Rb 0.629 0.871 0.250
Rb 0.750 0.371 0.129
Rb 0.750 0.750 0.750
Rb 0.871 0.250 0.629
Pb 0.000 0.000 0.000
Pb 0.500 0.500 0.500
Br 0.058 0.927 0.698
Br 0.073 0.302 0.942
Br 0.198 0.427 0.558
Br 0.302 0.942 0.073
Br 0.427 0.558 0.198
Br 0.442 0.802 0.573
Br 0.558 0.198 0.427
Br 0.573 0.442 0.802
Br 0.698 0.058 0.927
Br 0.802 0.573 0.442
Br 0.927 0.698 0.058
Br 0.942 0.073 0.302

Values from the calculation:
Calculated total energy: -3.1396 eV/atom
Energy of formation from the pure elements: -1.8439 eV/atom

---

# CsSmHgSe3

Crystalline CsSmHgSe3 at its relaxed geometry (PBE, the Materials Project database).

Unit cell a=8.490 b=8.490 c=11.313 alpha=90.00 beta=90.00 gamma=150.17
Atoms (fractional coordinates):
Cs 0.245 0.755 0.750
Cs 0.755 0.245 0.250
Sm 0.500 0.500 0.000
Sm 0.500 0.500 0.500
Hg 0.043 0.957 0.250
Hg 0.957 0.043 0.750
Se 0.120 0.880 0.045
Se 0.120 0.880 0.455
Se 0.439 0.561 0.250
Se 0.561 0.439 0.750
Se 0.880 0.120 0.545
Se 0.880 0.120 0.955

Values from the calculation:
Total moment: 0.00 Bohr magnetons per cell
Calculated total energy: -3.9652 eV/atom
Energy of formation from the pure elements: -1.4670 eV/atom

---

# Zr3Co

Crystalline Zr3Co at its relaxed geometry (PBE, the Materials Project database).

Unit cell a=6.055 b=6.055 c=4.889 alpha=90.00 beta=90.00 gamma=120.00
Atoms (fractional coordinates):
Zr 0.175 0.351 0.250
Zr 0.175 0.825 0.250
Zr 0.351 0.175 0.750
Zr 0.649 0.825 0.250
Zr 0.825 0.175 0.750
Zr 0.825 0.649 0.750
Co 0.333 0.667 0.750
Co 0.667 0.333 0.250

Values from the calculation:
Total moment: 0.02 Bohr magnetons per cell
Calculated total energy: -8.0670 eV/atom
Energy of formation from the pure elements: 0.1209 eV/atom